ZnO: optimized geometry, PBE.

a = 3.2880 Å, b = 3.2880 Å, c = 7.1304 Å
α = 90.00°, β = 90.00°, γ = 120.00°
Space group P6_3/mmc (No. 194)
Asymmetric unit:
Zn 0.0000 0.0000 0.2500 (multiplicity 2)
O 0.3333 0.6667 0.2500 (multiplicity 2)

---

ZnO: optimized geometry, PBE.

a = 4.3389 Å, b = 4.3389 Å, c = 4.3389 Å
α = 90.00°, β = 90.00°, γ = 90.00°
Space group Fm-3m (No. 225)
Asymmetric unit:
Zn 0.0000 0.0000 0.0000 (multiplicity 4)
O 0.0000 0.0000 0.5000 (multiplicity 4)

---

ZrO2: optimized geometry, PBE.

a = 6.2327 Å, b = 9.0199 Å, c = 5.8071 Å
α = 90.00°, β = 121.51°, γ = 90.00°
Space group C2/m (No. 12)
Asymmetric unit:
Zr 0.0000 0.0000 0.0000 (multiplicity 2)
Zr 0.0000 0.1836 0.5000 (multiplicity 4)
O 0.1717 0.0000 0.7681 (multiplicity 4)
O 0.2069 0.1687 0.2899 (multiplicity 8)

---

ZrO2: optimized geometry, PBE.

a = 10.4138 Å, b = 3.4818 Å, c = 3.8810 Å
α = 90.00°, β = 90.00°, γ = 90.00°
Space group Pnma (No. 62)
Asymmetric unit:
Zr 0.1186 0.2500 0.2481 (multiplicity 4)
O 0.0252 0.2500 0.7366 (multiplicity 4)
O 0.2139 0.7500 0.0688 (multiplicity 4)

---

Number 1: DFT total energy -4.33 eV per atom, formation energy -1.567 eV per atom. Number 2: DFT total energy -4.40 eV per atom, formation energy -1.644 eV per atom. Number 3: DFT total energy -9.42 eV per atom, formation energy -3.727 eV per atom. Number 4: DFT total energy -9.47 eV per atom, formation energy -3.779 eV per atom.